w:
Here is a relaxed structure of Gd2HfO5 from the Materials Project. Energies are from PBE.

Unit cell a=6.5904 b=6.5904 c=7.7293 alpha=69.45 beta=69.45 gamma=49.78
Last column: nearest neighbours and their distance in Å.
Atoms (fractional coordinates):
Gd1 0.3664 0.3534 0.7502  5 O 2.22-2.45
Gd2 0.3534 0.3664 0.2502  5 O 2.22-2.45
Gd3 0.6466 0.6336 0.7498  5 O 2.22-2.45
Gd4 0.6336 0.6466 0.2498  5 O 2.22-2.45
Hf1 0.0000 0.0000 0.5000  6 O 2.08-2.15
Hf2 0.0000 0.0000 0.0000  6 O 2.08-2.15
O1 0.2497 0.6036 0.9561  1 Hf 2.08, 2 Gd 2.28-2.30
O2 0.6036 0.2497 0.4561  1 Hf 2.08, 2 Gd 2.28-2.30
O3 0.9781 0.6785 0.6414  1 Hf 2.09, 2 Gd 2.22-2.24
O4 0.3215 0.0219 0.8586  1 Hf 2.09, 2 Gd 2.22-2.24
O5 0.6785 0.9781 0.1414  1 Hf 2.09, 2 Gd 2.22-2.24
O6 0.0219 0.3215 0.3586  1 Hf 2.09, 2 Gd 2.22-2.24
O7 0.3964 0.7503 0.5439  1 Hf 2.08, 2 Gd 2.28-2.30
O8 0.8287 0.1713 0.7500  2 Hf 2.15
O9 0.7503 0.3964 0.0439  1 Hf 2.08, 2 Gd 2.28-2.30
O10 0.1713 0.8287 0.2500  2 Hf 2.15

Crystal system: monoclinic
Magnetic moment, μB/cell: 28.00



x:
Here is a relaxed structure of Gd2HfO5 from the Materials Project. Energies are from PBE.

Unit cell a=6.0758 b=6.0758 c=10.9726 alpha=90.00 beta=90.00 gamma=140.08
Last column: nearest neighbours and their distance in Å.
Atoms (fractional coordinates):
Gd1 0.8613 0.1387 0.5674  5 O 2.23-2.45
Gd2 0.8613 0.1387 0.9326  5 O 2.23-2.45
Gd3 0.1387 0.8613 0.0674  5 O 2.23-2.45
Gd4 0.1387 0.8613 0.4326  5 O 2.23-2.45
Hf1 0.8233 0.1767 0.2500  6 O 2.03-2.17
Hf2 0.1767 0.8233 0.7500  6 O 2.03-2.17
O1 0.9499 0.0501 0.1199  1 Hf 2.03, 1 Gd 2.23
O2 0.9499 0.0501 0.3801  1 Hf 2.03, 1 Gd 2.23
O3 0.7102 0.2898 0.4093  1 Hf 2.17, 2 Gd 2.24
O4 0.7102 0.2898 0.0907  1 Hf 2.17, 2 Gd 2.24
O5 0.7303 0.2697 0.7500  2 Hf 2.16
O6 0.2697 0.7303 0.2500  2 Hf 2.16
O7 0.0501 0.9499 0.6199  1 Hf 2.03, 1 Gd 2.23
O8 0.0501 0.9499 0.8801  1 Hf 2.03, 1 Gd 2.23
O9 0.2898 0.7102 0.5907  1 Hf 2.17, 2 Gd 2.24
O10 0.2898 0.7102 0.9093  1 Hf 2.17, 2 Gd 2.24

Crystal system: orthorhombic
Magnetic moment, μB/cell: 28.00



Which structure wins on stability? x wins.



w:
Here is a relaxed structure of CaTlF3 from the Materials Project. Energies are from PBE.

Unit cell a=4.5109 b=4.5109 c=4.5086 alpha=89.93 beta=89.93 gamma=89.96
Last column: nearest neighbours and their distance in Å.
Atoms (fractional coordinates):
Ca1 0.5009 0.5009 0.5126  6 F 2.25-2.26
Tl1 0.0082 0.0082 0.0061  12 F 3.07-3.32
F1 0.0004 0.4985 0.5169  2 Ca 2.25-2.26
F2 0.4885 0.4885 0.0131  2 Ca 2.25-2.26
F3 0.4985 0.0004 0.5169  2 Ca 2.25-2.26

Crystal system: monoclinic
Magnetic moment, μB/cell: 0.00



x:
Here is a relaxed structure of CaTlF3 from the Materials Project. Energies are from PBE.

Unit cell a=6.3822 b=6.3822 c=6.3822 alpha=60.10 beta=60.10 gamma=60.10
Last column: nearest neighbours and their distance in Å.
Atoms (fractional coordinates):
Ca1 0.9934 0.9934 0.9934  6 F 2.28-2.30
Ca2 0.4934 0.4934 0.4934  6 F 2.28-2.30
Tl1 0.7307 0.7307 0.7307  6 F 2.84-2.95
Tl2 0.2307 0.2307 0.2307  6 F 2.84-2.95
F1 0.3024 0.7588 0.1863  2 Ca 2.28-2.30
F2 0.7588 0.1863 0.3024  2 Ca 2.28-2.30
F3 0.1863 0.3024 0.7588  2 Ca 2.28-2.30
F4 0.2588 0.8024 0.6863  2 Ca 2.28-2.30
F5 0.6863 0.2588 0.8024  2 Ca 2.28-2.30
F6 0.8024 0.6863 0.2588  2 Ca 2.28-2.30

Crystal system: trigonal
Largest piezoelectric modulus, C/m²: 2.2



Which structure wins on stability? x wins.



w:
Here is a relaxed structure of Mg3Au from the Materials Project. Energies are from PBE.

Unit cell a=4.7108 b=4.7108 c=8.5483 alpha=90.00 beta=90.00 gamma=120.00
Last column: nearest neighbours and their distance in Å.
Atoms (fractional coordinates):
Mg1 0.0000 0.0000 0.7500  3 Au 2.72
Mg2 0.0000 0.0000 0.2500  3 Au 2.72
Mg3 0.3333 0.6667 0.0783  4 Au 2.81-3.09, 7 Mg 2.94-3.09
Mg4 0.6667 0.3333 0.9217  4 Au 2.81-3.09, 7 Mg 2.94-3.09
Mg5 0.6667 0.3333 0.5783  4 Au 2.81-3.09, 7 Mg 2.94-3.09
Mg6 0.3333 0.6667 0.4217  4 Au 2.81-3.09, 7 Mg 2.94-3.09
Au1 0.3333 0.6667 0.7500  5 Mg 2.72-2.81
Au2 0.6667 0.3333 0.2500  5 Mg 2.72-2.81

Crystal system: hexagonal



x:
Here is a relaxed structure of Mg3Au from the Materials Project. Energies are from PBE.

Unit cell a=8.1239 b=8.1239 c=8.5898 alpha=90.00 beta=90.00 gamma=120.00
Last column: nearest neighbours and their distance in Å.
Atoms (fractional coordinates):
Mg1 0.9461 0.6337 0.5783  3 Au 2.85-3.02, 7 Mg 3.03-3.16
Mg2 0.3663 0.3124 0.5783  3 Au 2.85-3.02, 7 Mg 3.03-3.16
Mg3 0.6876 0.0539 0.5783  3 Au 2.85-3.02, 7 Mg 3.03-3.16
Mg4 0.3124 0.3663 0.9217  3 Au 2.85-3.02, 7 Mg 3.03-3.16
Mg5 0.0539 0.6876 0.9217  3 Au 2.85-3.02, 7 Mg 3.03-3.16
Mg6 0.6337 0.9461 0.9217  3 Au 2.85-3.02, 7 Mg 3.03-3.16
Mg7 0.0000 0.0000 0.2500  3 Au 2.76
Mg8 0.0000 0.0000 0.7500  3 Au 2.76
Mg9 0.3333 0.6667 0.1843  3 Au 2.74
Mg10 0.6667 0.3333 0.3157  3 Au 2.74
Mg11 0.6667 0.3333 0.8157  3 Au 2.74
Mg12 0.3333 0.6667 0.6843  3 Au 2.74
Mg13 0.3663 0.0539 0.0783  3 Au 2.85-3.02, 7 Mg 3.03-3.16
Mg14 0.9461 0.3124 0.0783  3 Au 2.85-3.02, 7 Mg 3.03-3.16
Mg15 0.6876 0.6337 0.0783  3 Au 2.85-3.02, 7 Mg 3.03-3.16
Mg16 0.3124 0.9461 0.4217  3 Au 2.85-3.02, 7 Mg 3.03-3.16
Mg17 0.6337 0.6876 0.4217  3 Au 2.85-3.02, 7 Mg 3.03-3.16
Mg18 0.0539 0.3663 0.4217  3 Au 2.85-3.02, 7 Mg 3.03-3.16
Au1 0.6602 0.6602 0.7500  9 Mg 2.74-3.02
Au2 0.0000 0.3398 0.7500  9 Mg 2.74-3.02
Au3 0.3398 0.0000 0.7500  9 Mg 2.74-3.02
Au4 0.3398 0.3398 0.2500  9 Mg 2.74-3.02
Au5 0.0000 0.6602 0.2500  9 Mg 2.74-3.02
Au6 0.6602 0.0000 0.2500  9 Mg 2.74-3.02

Crystal system: trigonal
Magnetic moment, μB/cell: 0.00



Which structure wins on stability? x wins.